Entry 1:
A geometry-optimized Sm3Ni7B2 structure. Source: Materials Project, functional PBE-GGA.

abc: 5.241 5.246 7.193
angles: 90.00 90.00 119.89
Element x y z (fractional)
Sm (0.000, 0.000, 0.000)
Sm (0.000, 0.000, 0.500)
Sm (0.333, 0.666, 0.000)
Ni (0.505, 0.010, 0.311)
Ni (0.505, 0.495, 0.311)
Ni (0.990, 0.495, 0.311)
Ni (0.505, 0.010, 0.689)
Ni (0.505, 0.495, 0.689)
Ni (0.990, 0.495, 0.689)
Ni (0.667, 0.333, 0.000)
B (0.333, 0.667, 0.500)
B (0.667, 0.333, 0.500)

The volume comes out at 171.5 Å³ per cell. The calculation puts the magnetic moment at 0.000 μB/atom. Its calculated total energy is -6.0198 eV per atom.



Entry 2:
A geometry-optimized Mn14Al56Ge3 structure. Source: Materials Project, functional PBE-GGA.

abc: 11.056 11.056 10.309
angles: 90.00 90.00 120.00
Element x y z (fractional)
Mn (0.937, 0.360, 0.928)
Mn (0.210, 0.258, 0.669)
Mn (0.423, 0.063, 0.928)
Mn (0.048, 0.790, 0.669)
Mn (0.360, 0.423, 0.072)
Mn (0.667, 0.333, 0.555)
Mn (0.333, 0.667, 0.445)
Mn (0.742, 0.952, 0.669)
Mn (0.640, 0.577, 0.928)
Mn (0.063, 0.640, 0.072)
Mn (0.790, 0.742, 0.331)
Mn (0.952, 0.210, 0.331)
Mn (0.577, 0.937, 0.072)
Mn (0.258, 0.048, 0.331)
Al (0.593, 0.695, 0.731)
Al (0.000, 0.000, 0.744)
Al (0.700, 0.845, 0.188)
Al (0.416, 0.279, 0.547)
Al (0.322, 0.808, 0.016)
Al (0.168, 0.625, 0.273)
Al (0.487, 0.678, 0.016)
Al (0.385, 0.448, 0.830)
Al (0.832, 0.375, 0.727)
Al (0.615, 0.552, 0.170)
Al (0.192, 0.513, 0.016)
Al (0.029, 0.834, 0.422)
Al (0.721, 0.138, 0.547)
Al (0.262, 0.131, 0.084)
Al (0.155, 0.855, 0.188)
Al (0.886, 0.378, 0.436)
Al (0.937, 0.385, 0.170)
Al (0.808, 0.487, 0.984)
Al (0.195, 0.029, 0.578)
Al (0.448, 0.063, 0.170)
Al (0.584, 0.721, 0.453)
Al (0.166, 0.195, 0.422)
Al (0.869, 0.131, 0.084)
Al (0.695, 0.102, 0.269)
Al (0.738, 0.869, 0.916)
Al (0.457, 0.832, 0.273)
Al (0.552, 0.937, 0.830)
Al (0.114, 0.622, 0.564)
Al (0.834, 0.805, 0.578)
Al (0.305, 0.898, 0.731)
Al (0.492, 0.114, 0.436)
Al (0.622, 0.508, 0.436)
Al (0.131, 0.869, 0.916)
Al (0.971, 0.166, 0.578)
Al (0.279, 0.862, 0.453)
Al (0.145, 0.300, 0.188)
Al (0.625, 0.457, 0.727)
Al (0.898, 0.593, 0.269)
Al (0.300, 0.155, 0.812)
Al (0.513, 0.322, 0.984)
Al (0.131, 0.262, 0.916)
Al (0.000, 0.000, 0.256)
Al (0.063, 0.615, 0.830)
Al (0.805, 0.971, 0.422)
Al (0.378, 0.492, 0.564)
Al (0.678, 0.192, 0.984)
Al (0.543, 0.168, 0.727)
Al (0.375, 0.543, 0.273)
Al (0.845, 0.145, 0.812)
Al (0.862, 0.584, 0.547)
Al (0.407, 0.305, 0.269)
Al (0.855, 0.700, 0.812)
Al (0.508, 0.886, 0.564)
Al (0.138, 0.416, 0.453)
Al (0.102, 0.407, 0.731)
Al (0.869, 0.738, 0.084)
Ge (0.000, 0.000, 0.000)
Ge (0.667, 0.333, 0.280)
Ge (0.333, 0.667, 0.720)

The volume comes out at 1091.2 Å³ per cell. The calculation puts the magnetic moment at 0.000 μB/atom. Its calculated total energy is -5.0462 eV per atom.



Entry 3:
A geometry-optimized NaYTiNbO6F structure. Source: Materials Project, functional PBE-GGA.

abc: 7.335 7.335 10.369
angles: 90.00 90.00 90.00
Element x y z (fractional)
Na (0.000, 0.234, 0.500)
Na (0.000, 0.766, 0.000)
Na (0.234, 0.000, 0.250)
Na (0.766, 0.000, 0.750)
Y (0.500, 0.216, 0.500)
Y (0.500, 0.784, 0.000)
Y (0.784, 0.500, 0.750)
Y (0.216, 0.500, 0.250)
Ti (0.267, 0.500, 0.750)
Ti (0.500, 0.267, 0.000)
Ti (0.733, 0.500, 0.250)
Ti (0.500, 0.733, 0.500)
Nb (0.739, 0.000, 0.250)
Nb (0.000, 0.261, 0.000)
Nb (0.000, 0.739, 0.500)
Nb (0.261, 0.000, 0.750)
O (0.051, 0.454, 0.867)
O (0.251, 0.278, 0.076)
O (0.454, 0.454, 0.875)
O (0.546, 0.949, 0.383)
O (0.546, 0.454, 0.125)
O (0.546, 0.546, 0.375)
O (0.722, 0.749, 0.174)
O (0.722, 0.251, 0.326)
O (0.749, 0.722, 0.576)
O (0.949, 0.546, 0.367)
O (0.949, 0.454, 0.133)
O (0.936, 0.936, 0.375)
O (0.051, 0.546, 0.633)
O (0.064, 0.936, 0.625)
O (0.064, 0.064, 0.875)
O (0.278, 0.251, 0.674)
O (0.251, 0.722, 0.424)
O (0.278, 0.749, 0.826)
O (0.454, 0.051, 0.883)
O (0.454, 0.546, 0.625)
O (0.454, 0.949, 0.617)
O (0.546, 0.051, 0.117)
O (0.749, 0.278, 0.924)
O (0.936, 0.064, 0.125)
F (0.747, 0.253, 0.625)
F (0.253, 0.747, 0.125)
F (0.253, 0.253, 0.375)
F (0.747, 0.747, 0.875)

The volume comes out at 557.9 Å³ per cell. The calculation puts the magnetic moment at 0.000 μB/atom. Its calculated total energy is -8.1724 eV per atom. As for the energy above the most stable polymorph in this dataset: 0 meV/atom.



- Which of these has the lowest calculated total energy?
  NaYTiNbO6F



- Among the records above, which one has the highest calculated total energy?
  Mn14Al56Ge3



- Look up the calculated total energy of the third one.
  -8.1724 eV per atom



Copy entry 3 word for word.
A geometry-optimized NaYTiNbO6F structure. Source: Materials Project, functional PBE-GGA.

abc: 7.335 7.335 10.369
angles: 90.00 90.00 90.00
Element x y z (fractional)
Na (0.000, 0.234, 0.500)
Na (0.000, 0.766, 0.000)
Na (0.234, 0.000, 0.250)
Na (0.766, 0.000, 0.750)
Y (0.500, 0.216, 0.500)
Y (0.500, 0.784, 0.000)
Y (0.784, 0.500, 0.750)
Y (0.216, 0.500, 0.250)
Ti (0.267, 0.500, 0.750)
Ti (0.500, 0.267, 0.000)
Ti (0.733, 0.500, 0.250)
Ti (0.500, 0.733, 0.500)
Nb (0.739, 0.000, 0.250)
Nb (0.000, 0.261, 0.000)
Nb (0.000, 0.739, 0.500)
Nb (0.261, 0.000, 0.750)
O (0.051, 0.454, 0.867)
O (0.251, 0.278, 0.076)
O (0.454, 0.454, 0.875)
O (0.546, 0.949, 0.383)
O (0.546, 0.454, 0.125)
O (0.546, 0.546, 0.375)
O (0.722, 0.749, 0.174)
O (0.722, 0.251, 0.326)
O (0.749, 0.722, 0.576)
O (0.949, 0.546, 0.367)
O (0.949, 0.454, 0.133)
O (0.936, 0.936, 0.375)
O (0.051, 0.546, 0.633)
O (0.064, 0.936, 0.625)
O (0.064, 0.064, 0.875)
O (0.278, 0.251, 0.674)
O (0.251, 0.722, 0.424)
O (0.278, 0.749, 0.826)
O (0.454, 0.051, 0.883)
O (0.454, 0.546, 0.625)
O (0.454, 0.949, 0.617)
O (0.546, 0.051, 0.117)
O (0.749, 0.278, 0.924)
O (0.936, 0.064, 0.125)
F (0.747, 0.253, 0.625)
F (0.253, 0.747, 0.125)
F (0.253, 0.253, 0.375)
F (0.747, 0.747, 0.875)

The volume comes out at 557.9 Å³ per cell. The calculation puts the magnetic moment at 0.000 μB/atom. Its calculated total energy is -8.1724 eV per atom. As for the energy above the most stable polymorph in this dataset: 0 meV/atom.